# 1
NbCrGe: optimized geometry, PBE.

Lattice parameters (Å, degrees): 5.1864 5.1864 7.8105 90.00 90.00 121.91
Closest atoms and distances in Å follow each position.
Fractional coordinates of all 12 atoms:
Nb (0.3349, 0.6651, 0.8198)  4 Nb 2.81-3.15, 5 Ge 2.88-2.91, 7 Cr 2.94-3.02
Nb (0.3349, 0.6651, 0.1802)  4 Nb 2.81-3.15, 5 Ge 2.88-2.91, 7 Cr 2.94-3.02
Nb (0.6643, 0.3357, 0.6936)  7 Ge 2.79-3.02, 4 Cr 2.81-2.94, 3 Nb 3.02-3.11
Nb (0.6643, 0.3357, 0.3064)  7 Ge 2.79-3.02, 4 Cr 2.81-2.94, 3 Nb 3.02-3.11
Ge (0.8234, 0.1766, 0.0000)  6 Cr 2.53-2.65, 2 Nb 2.79
Ge (0.1700, 0.8300, 0.5000)  2 Cr 2.49, 4 Ge 2.55-2.64
Ge (0.6615, 0.8296, 0.5000)  4 Ge 2.47-2.64, 2 Cr 2.51
Ge (0.1704, 0.3385, 0.5000)  4 Ge 2.47-2.64, 2 Cr 2.51
Cr (0.0064, 0.9936, 0.7560)  2 Cr 2.37, 4 Ge 2.49-2.53
Cr (0.0064, 0.9936, 0.2440)  2 Cr 2.37, 4 Ge 2.49-2.53
Cr (0.3279, 0.1648, 0.0000)  4 Cr 2.37-2.56, 2 Ge 2.54-2.65
Cr (0.8352, 0.6721, 0.0000)  4 Cr 2.37-2.56, 2 Ge 2.54-2.65

Calculated values
The density comes out at 8.10 g/cm3. Its formation energy is -0.108 eV per atom. The calculation puts the uncorrected energy at -8.234 eV/atom. The total moment is 0.00 μB/f.u.

***

# 2
NbCrGe: optimized geometry, PBE.

Lattice parameters (Å, degrees): 6.7698 6.7698 3.3773 90.00 90.00 120.00
Closest atoms and distances in Å follow each position.
Fractional coordinates of all 9 atoms:
Ge (0.3333, 0.6667, 0.0000)  3 Cr 2.56, 6 Nb 2.66
Ge (0.0000, 0.0000, 0.5000)  6 Cr 2.42
Ge (0.6667, 0.3333, 0.0000)  3 Cr 2.56, 6 Nb 2.66
Cr (0.7437, 0.7437, 0.0000)  4 Ge 2.42-2.56
Cr (0.0000, 0.2563, 0.0000)  4 Ge 2.42-2.56
Cr (0.2563, 0.0000, 0.0000)  4 Ge 2.42-2.56
Nb (0.5958, 0.0000, 0.5000)  5 Ge 2.66-2.74, 6 Cr 2.85-2.93
Nb (0.4042, 0.4042, 0.5000)  5 Ge 2.66-2.74, 6 Cr 2.85-2.93
Nb (0.0000, 0.5958, 0.5000)  5 Ge 2.66-2.74, 6 Cr 2.85-2.93

Calculated values
The density comes out at 8.08 g/cm3. Its formation energy is -0.266 eV per atom. The calculation puts the uncorrected energy at -8.392 eV/atom. The total moment is 0.08 μB/f.u.